No. 1
# Nd12InNi6, optimized geometry, DFT r²SCAN
data_Nd12InNi6
_cell_length_a 10.0286
_cell_length_b 10.0286
_cell_length_c 10.0286
_cell_angle_alpha 90.00
_cell_angle_beta 90.00
_cell_angle_gamma 90.00
_symmetry_space_group_name_H-M 'I m -3'
_symmetry_Int_Tables_number 204
_symmetry_space_group_name_Hall '-I 2 2 3'
loop_
_atom_site_label
_atom_site_type_symbol
_atom_site_fract_x
_atom_site_fract_y
_atom_site_fract_z
_atom_site_occupancy
Nd1 Nd 0.0000 0.3071 0.1865 1
In1 In 0.0000 0.0000 0.0000 1
Ni1 Ni 0.0000 0.1200 0.5000 1
# **Calculated density**: 7.2 Mg/m³
# **Calculated volume**: 26.5 Å³ per atom
# **Size of the total moment**: 0.00 Bohr magnetons per cell
# **Energy relative to the elements**: -5.3 eV per formula unit

=====

No. 2
# HfAl5Ni2, optimized geometry, DFT r²SCAN
data_HfAl5Ni2
_cell_length_a 3.9802
_cell_length_b 3.9802
_cell_length_c 14.3985
_cell_angle_alpha 90.00
_cell_angle_beta 90.00
_cell_angle_gamma 90.00
_symmetry_space_group_name_H-M 'I 4/m m m'
_symmetry_Int_Tables_number 139
_symmetry_space_group_name_Hall '-I 4 2'
loop_
_atom_site_label
_atom_site_type_symbol
_atom_site_fract_x
_atom_site_fract_y
_atom_site_fract_z
_atom_site_occupancy
Hf1 Hf 0.0000 0.0000 0.0000 1
Al1 Al 0.0000 0.0000 0.5000 1
Al2 Al 0.0000 0.5000 0.1474 1
Ni1 Ni 0.0000 0.0000 0.2401 1
# **Calculated density**: 6.3 Mg/m³
# **Calculated volume**: 14.3 Å³ per atom
# **Size of the total moment**: 0.00 Bohr magnetons per cell
# **Energy relative to the elements**: -4.7 eV per formula unit

=====

Number 1 is which compound? Nd12InNi6

=====

Which of these has the highest calculated volume? Nd12InNi6

=====

Among the records above, which one has the highest calculated volume? Nd12InNi6